Li2MnF5 PBE+U relaxed; E_form = -2.996 eV/atom; crystal system = monoclinic
1.0
-4.9371 -0.3441 2.8266
-2.6404 -4.7249 1.7848
1.3317 -1.0431 7.3224
Li Mn F
4 2 10
Direct
0.6289 0.6430 0.7545
0.6430 0.6289 0.2545
0.3711 0.3570 0.2455
0.3570 0.3711 0.7455
0.0000 0.0000 0.5000
0.0000 0.0000 0.0000
0.2155 0.7845 0.2500
0.7845 0.2155 0.7500
0.7767 0.3959 0.0447
0.6041 0.2233 0.4553
0.2233 0.6041 0.9553
0.3959 0.7767 0.5447
0.3285 0.0270 0.8524
0.9730 0.6715 0.6476
0.6715 0.9730 0.1476
0.0270 0.3285 0.3524

V8CuO20 PBE+U relaxed; E_form = -2.214 eV/atom; crystal system = triclinic
1.0
5.7244 -0.5881 7.5633
-9.1842 -5.3224 3.0502
8.0990 -7.0385 -5.4170
V Cu O
24 3 60
Direct
0.0832 0.8820 0.0253
0.1573 0.5919 0.0128
0.3671 0.9081 0.2004
0.1186 0.9025 0.4545
0.1298 0.0920 0.2958
0.3808 0.1013 0.0480
0.5817 0.8819 0.5246
0.3329 0.8835 0.7769
0.8339 0.8758 0.2769
0.0991 0.4041 0.7400
0.5969 0.4053 0.2409
0.3439 0.4060 0.4875
0.6571 0.5929 0.5143
0.4075 0.5907 0.7612
0.9016 0.5951 0.2602
0.6709 0.1151 0.2241
0.4181 0.1206 0.4746
0.1665 0.1178 0.7241
0.8686 0.9062 0.7030
0.6210 0.8983 0.9497
0.6308 0.0997 0.7989
0.8791 0.0985 0.5465
0.8447 0.4087 0.9878
0.9155 0.1162 0.9747
0.0190 0.3633 0.2860
0.4849 0.6419 0.2150
0.9740 0.6345 0.7144
0.0016 0.9170 0.1777
0.2162 0.7795 0.0825
0.0004 0.2691 0.0692
0.4960 0.9510 0.0872
0.2365 0.9525 0.3316
0.2675 0.5435 0.0722
0.0133 0.5368 0.3135
0.4336 0.7941 0.2221
0.1886 0.7916 0.4692
0.3090 0.2099 0.0315
0.0636 0.2084 0.2767
0.4871 0.4652 0.1874
0.2324 0.4570 0.4314
0.0017 0.0009 0.9982
0.7496 0.0045 0.2512
0.4974 0.9998 0.5009
0.2504 0.0004 0.7500
0.0019 0.0485 0.4170
0.2656 0.0461 0.1609
0.2317 0.7311 0.6985
0.7247 0.7246 0.1993
0.4962 0.7304 0.4283
0.5358 0.2214 0.1638
0.0345 0.2189 0.6657
0.2888 0.2228 0.4189
0.7471 0.9246 0.4409
0.2545 0.9238 0.9351
0.5008 0.9197 0.6855
0.2687 0.4241 0.6475
0.0211 0.4239 0.8976
0.7680 0.4277 0.1460
0.5204 0.4244 0.3961
0.2331 0.5716 0.8553
0.9811 0.5768 0.1029
0.7331 0.5733 0.3541
0.4805 0.5735 0.6038
0.4966 0.0802 0.3157
0.7480 0.0760 0.0630
0.2474 0.0787 0.5639
0.4641 0.7792 0.8359
0.9643 0.7796 0.3336
0.7097 0.7755 0.5826
0.7702 0.2712 0.3006
0.5117 0.2696 0.5606
0.2574 0.2697 0.8079
0.9930 0.9465 0.5800
0.7386 0.9511 0.8394
0.7701 0.5435 0.5705
0.5162 0.5396 0.8161
0.9389 0.7920 0.7217
0.6897 0.7901 0.9701
0.8114 0.2096 0.5303
0.5635 0.2072 0.7768
0.7374 0.4611 0.9325
0.9889 0.4636 0.6864
0.5062 0.0515 0.9139
0.7594 0.0474 0.6675
0.9978 0.7302 0.9296
0.7842 0.2206 0.9151
0.9992 0.0828 0.8156

Fe4O5F3 PBE+U relaxed; E_form = -1.711 eV/atom; crystal system = monoclinic
1.0
4.7238 0.0000 0.0000
0.0000 6.0929 0.0000
0.0000 3.0393 9.4389
Fe O F
8 10 6
Direct
0.4491 0.6785 0.3858
0.5251 0.4381 0.8665
0.5055 0.9404 0.8771
0.5175 0.2000 0.3525
0.0175 0.8000 0.6475
0.0251 0.5619 0.1335
0.9491 0.3215 0.6142
0.0055 0.0596 0.1229
0.8245 0.2684 0.2111
0.8034 0.5143 0.7241
0.8041 0.0157 0.7229
0.6987 0.1411 0.9691
0.6722 0.3912 0.4647
0.3245 0.7316 0.7889
0.3034 0.4857 0.2759
0.3041 0.9843 0.2771
0.1987 0.8589 0.0309
0.1722 0.6088 0.5353
0.7975 0.7622 0.2263
0.6891 0.8919 0.4718
0.7131 0.6348 0.9807
0.2975 0.2378 0.7737
0.2131 0.3652 0.0193
0.1891 0.1081 0.5282

SrNdHfFeO6 PBE+U relaxed; E_form = -3.160 eV/atom; crystal system = cubic
1.0
0.0000 -4.0332 -4.0332
4.0332 0.0000 -4.0332
4.0332 -4.0332 0.0000
Sr Nd Hf Fe O
1 1 1 1 6
Direct
0.2500 0.2500 0.2500
0.7500 0.7500 0.7500
0.5000 0.5000 0.5000
0.0000 0.0000 0.0000
0.7530 0.2470 0.2470
0.2470 0.7530 0.7530
0.7530 0.2470 0.7530
0.2470 0.7530 0.2470
0.7530 0.7530 0.2470
0.2470 0.2470 0.7530

LiCr3P3O13 PBE+U relaxed; E_form = -2.521 eV/atom; crystal system = monoclinic
1.0
6.3135 0.0000 0.0000
0.0000 7.3027 -1.3232
0.0000 0.0261 10.5184
Li Cr P O
2 6 6 26
Direct
0.7500 0.6155 0.1387
0.2500 0.3845 0.8613
0.2500 0.3640 0.1979
0.7500 0.6360 0.8021
0.2500 0.7694 0.4486
0.5000 0.0000 0.0000
0.7500 0.2306 0.5514
0.0000 0.0000 0.0000
0.2500 0.2126 0.4780
0.7500 0.7874 0.5220
0.2500 0.7322 0.7703
0.7500 0.2678 0.2297
0.7500 0.3044 0.8776
0.2500 0.6956 0.1224
0.7500 0.3519 0.7381
0.5548 0.7384 0.4351
0.2500 0.7917 0.6391
0.5448 0.2025 0.9003
0.7500 0.6655 0.6269
0.7500 0.8671 0.9074
0.2500 0.3345 0.3731
0.0448 0.7975 0.0997
0.2500 0.0105 0.4090
0.7500 0.9895 0.5910
0.0601 0.6151 0.7977
0.2500 0.1329 0.0926
0.5601 0.3849 0.2023
0.7500 0.5040 0.9549
0.7500 0.2083 0.3609
0.4552 0.7975 0.0997
0.9452 0.7384 0.4351
0.4452 0.2616 0.5649
0.4399 0.6151 0.7977
0.2500 0.6481 0.2619
0.7500 0.0879 0.1205
0.2500 0.9121 0.8795
0.9399 0.3849 0.2023
0.9552 0.2025 0.9003
0.0548 0.2616 0.5649
0.2500 0.4960 0.0451

LiVPO5 PBE+U relaxed; E_form = -2.576 eV/atom; crystal system = monoclinic
1.0
4.8836 0.0000 0.0000
0.0000 6.2169 0.0000
0.0000 5.8717 6.3837
Li V P O
2 2 2 10
Direct
0.9175 0.0513 0.0250
0.0825 0.0513 0.5250
0.2450 0.4972 0.7492
0.7550 0.4972 0.2492
0.4760 0.0022 0.2497
0.5240 0.0022 0.7497
0.6721 0.7782 0.2828
0.2897 0.1421 0.0575
0.9066 0.4845 0.7587
0.2950 0.8558 0.4441
0.6580 0.2445 0.1999
0.3279 0.7782 0.7828
0.7103 0.1421 0.5575
0.0934 0.4845 0.2587
0.7050 0.8558 0.9441
0.3420 0.2445 0.6999

Li3MnPCO7 PBE+U relaxed; E_form = -2.209 eV/atom; maximum piezoelectric response = 5.4 C/m²; crystal system = monoclinic
1.0
-3.4879 -4.9951 2.3175
-0.9155 -1.4898 -4.5892
6.9558 -5.0629 -0.4437
Li Mn P C O
6 2 2 2 14
Direct
0.2647 0.7753 0.1056
0.4860 0.2352 0.2889
0.7372 0.7766 0.3562
0.2372 0.2234 0.6438
0.9860 0.7648 0.7111
0.7647 0.2247 0.8944
0.9989 0.2563 0.2651
0.4989 0.7437 0.7349
0.2484 0.7205 0.4068
0.7484 0.2795 0.5932
0.7596 0.7058 0.0429
0.2596 0.2942 0.9571
0.7628 0.9583 0.0685
0.2477 0.3688 0.1015
0.7646 0.5151 0.1561
0.0572 0.8261 0.3109
0.4357 0.8252 0.3099
0.7462 0.1822 0.4260
0.2411 0.4007 0.4196
0.7411 0.5993 0.5804
0.2462 0.8178 0.5740
0.9357 0.1748 0.6901
0.5572 0.1739 0.6891
0.2646 0.4849 0.8439
0.7477 0.6312 0.8985
0.2628 0.0417 0.9315

Mg14NiBiO16 PBE+U relaxed; E_form = -2.687 eV/atom; crystal system = orthorhombic
1.0
-4.3546 7.6112 -0.1088
-4.2581 -2.3333 7.2000
3.1213 1.8206 2.4359
Mg Ni Bi O
14 1 1 16
Direct
0.5000 0.0000 0.0000
0.5000 0.5000 0.0000
0.0000 0.2295 0.5000
0.0000 0.7705 0.5000
0.5000 0.2451 0.5000
0.5000 0.7549 0.5000
0.2490 0.0000 0.5000
0.2653 0.5000 0.5000
0.7510 0.0000 0.5000
0.7347 0.5000 0.5000
0.2557 0.2364 0.0000
0.2557 0.7636 0.0000
0.7443 0.2364 0.0000
0.7443 0.7636 0.0000
0.0000 0.0000 0.0000
0.0000 0.5000 0.0000
0.2731 0.0000 0.0000
0.2673 0.5000 0.0000
0.7269 0.0000 0.0000
0.7327 0.5000 0.0000
0.2482 0.2514 0.5000
0.2482 0.7486 0.5000
0.7518 0.2514 0.5000
0.7518 0.7486 0.5000
0.0000 0.0000 0.5000
0.0000 0.5000 0.5000
0.5000 0.0000 0.5000
0.5000 0.5000 0.5000
0.0000 0.2372 0.0000
0.0000 0.7628 0.0000
0.5000 0.2522 0.0000
0.5000 0.7478 0.0000

Li7Mn5O12 PBE+U relaxed; E_form = -2.146 eV/atom; crystal system = triclinic
1.0
-0.9481 1.3343 -4.7978
5.5304 -3.1266 -1.1305
-2.7564 -6.4314 0.1828
Li Mn O
7 5 12
Direct
0.5000 0.8333 0.1667
0.7470 0.2466 0.2490
0.2530 0.4200 0.0844
0.7235 0.5852 0.9456
0.2764 0.0815 0.3878
0.7386 0.9153 0.5953
0.2614 0.7514 0.7380
0.4943 0.1612 0.8483
0.5057 0.5055 0.4850
0.0000 0.3334 0.6668
0.9988 0.9977 0.0115
0.0012 0.6689 0.3218
0.8601 0.2718 0.9583
0.1399 0.3948 0.3750
0.8839 0.6214 0.5866
0.1161 0.0454 0.7467
0.3469 0.1176 0.1193
0.6531 0.5490 0.2140
0.3597 0.4412 0.7920
0.6404 0.2256 0.5414
0.8972 0.9496 0.2667
0.1028 0.7170 0.0666
0.3636 0.7749 0.4566
0.6364 0.8918 0.8767

LiMn2V4O8 PBE+U relaxed; E_form = -2.250 eV/atom; crystal system = triclinic
1.0
-3.8280 1.8514 4.2891
-6.2923 -0.2812 -1.1972
-3.2942 -4.0329 3.0395
Li Mn V O
1 2 4 8
Direct
0.0000 0.5000 0.0000
0.1453 0.0661 0.1439
0.8547 0.9339 0.8561
0.5000 0.5000 0.0000
0.5000 0.0000 0.5000
0.5000 0.5000 0.5000
0.0000 0.5000 0.5000
0.7301 0.2729 0.2475
0.7541 0.7191 0.7539
0.2459 0.2809 0.2461
0.2479 0.2778 0.7275
0.7286 0.3052 0.7316
0.2699 0.7271 0.7525
0.7521 0.7222 0.2725
0.2714 0.6948 0.2684

Mn15O32 PBE+U relaxed; E_form = -1.628 eV/atom; crystal system = monoclinic
1.0
5.0178 -5.5774 -3.4114
-8.9221 -3.7117 2.9497
-5.4051 -1.0615 -6.1304
Mn O
15 32
Direct
0.2453 0.0007 0.7446
0.7547 0.9993 0.2554
0.5000 0.0000 0.0000
0.6242 0.2493 0.6250
0.1242 0.2475 0.1284
0.3743 0.2493 0.8749
0.8758 0.2475 0.3767
0.0000 0.5000 0.5000
0.7505 0.5000 0.2495
0.2495 0.5000 0.7505
0.5000 0.5000 0.0000
0.3758 0.7507 0.3750
0.8758 0.7525 0.8716
0.1242 0.7525 0.6233
0.6257 0.7507 0.1251
0.4918 0.0153 0.7570
0.2722 0.0153 0.9766
0.7531 0.0181 0.4722
0.9903 0.0181 0.2350
0.3815 0.2363 0.6452
0.1071 0.2510 0.3561
0.6026 0.2353 0.8673
0.8825 0.2346 0.1479
0.1472 0.2648 0.8823
0.3681 0.2640 0.1039
0.6471 0.2648 0.3825
0.8679 0.2640 0.6041
0.9785 0.4853 0.2725
0.4773 0.4848 0.7727
0.7575 0.4848 0.4924
0.2578 0.4853 0.9931
0.2425 0.5152 0.5075
0.0215 0.5147 0.7275
0.7422 0.5147 0.0069
0.5227 0.5152 0.2273
0.6319 0.7360 0.8961
0.1321 0.7360 0.3959
0.3529 0.7352 0.6175
0.8528 0.7352 0.1177
0.3974 0.7647 0.1327
0.1175 0.7654 0.8521
0.8929 0.7490 0.6439
0.6185 0.7637 0.3548
0.2469 0.9819 0.5278
0.0097 0.9819 0.7650
0.7278 0.9847 0.0234
0.5082 0.9847 0.2430

no.,E (MP2020) (eV per atom),final energy (eV per atom)
1,-5.82,-5.3181
2,-8.27,-7.3306
3,-7.07,-5.9204
4,-8.62,-7.9790
5,-8.09,-7.3461
6,-7.72,-7.0777
7,-7.14,-6.6467
8,-6.16,-5.7406
9,-7.09,-6.3945
10,-8.66,-7.6183
11,-7.92,-6.9204